Entry 1:
The following is a PBE calculation of a relaxed structure of TbCu2Ni3, from Materials Project.

Properties
ΔE_f (eV per atom): -0.2867
V (A^3/atom): 13.945
Density (g cm⁻³): 9.2

Cell lengths 4.9347, 4.9347, 3.9675 Å; angles 90.00, 90.00, 120.00 degrees
Space group P6/mmm (No. 191)
Symmetry-distinct sites (fractional):
Tb 0.0000 0.0000 0.0000 (multiplicity 1)
Cu 0.3333 0.6667 0.0000 (multiplicity 2)
Ni 0.0000 0.5000 0.5000 (multiplicity 3)


Entry 2:
The following is a PBE calculation of a relaxed structure of Na14Mg5Si6Ge3S6O48, from Materials Project.

Properties
ΔE_f (eV per atom): -2.4175
V (A^3/atom): 12.541
Density (g cm⁻³): 2.9

Cell lengths 9.0058, 15.6424, 21.9024 Å; angles 89.33, 89.80, 89.50 degrees
Space group P1 (No. 1)
Symmetry-distinct sites (fractional):
Na 0.0000 0.0000 0.0000 (multiplicity 1)
Na 0.9995 0.6909 0.3366 (multiplicity 1)
Na 0.0027 0.6649 0.6773 (multiplicity 1)
Na 0.0076 0.3276 0.3217 (multiplicity 1)
Na 0.0104 0.0297 0.6572 (multiplicity 1)
Na 0.1312 0.5248 0.1587 (multiplicity 1)
Na 0.1371 0.1884 0.8379 (multiplicity 1)
Na 0.1394 0.1658 0.1795 (multiplicity 1)
Na 0.1450 0.8314 0.8286 (multiplicity 1)
Na 0.1486 0.8724 0.5033 (multiplicity 1)
Na 0.1768 0.4996 0.8494 (multiplicity 1)
Na 0.1862 0.1737 0.4960 (multiplicity 1)
Na 0.1978 0.8430 0.1597 (multiplicity 1)
Na 0.3134 0.3397 0.4157 (multiplicity 1)
Na 0.3186 0.0035 0.5791 (multiplicity 1)
Na 0.3197 0.3467 0.9168 (multiplicity 1)
Na 0.3227 0.6860 0.2524 (multiplicity 1)
Na 0.3252 0.6834 0.7560 (multiplicity 1)
Na 0.3513 0.0168 0.0849 (multiplicity 1)
Na 0.4264 0.8407 0.6689 (multiplicity 1)
Na 0.4646 0.4989 0.3485 (multiplicity 1)
Na 0.4802 0.8674 0.9993 (multiplicity 1)
Na 0.4906 0.1939 0.3470 (multiplicity 1)
Na 0.4972 0.1696 0.6729 (multiplicity 1)
Na 0.4996 0.8326 0.3326 (multiplicity 1)
Na 0.5006 0.5000 0.9870 (multiplicity 1)
Na 0.5067 0.5287 0.6706 (multiplicity 1)
Na 0.6329 0.6704 0.1709 (multiplicity 1)
Na 0.6328 0.6853 0.8336 (multiplicity 1)
Na 0.6349 0.3459 0.8315 (multiplicity 1)
Na 0.6504 0.3661 0.4993 (multiplicity 1)
Na 0.6695 0.0000 0.8497 (multiplicity 1)
Na 0.6753 0.6761 0.5090 (multiplicity 1)
Na 0.7079 0.3398 0.1685 (multiplicity 1)
Na 0.8111 0.1940 0.7541 (multiplicity 1)
Na 0.8125 0.8350 0.9198 (multiplicity 1)
Na 0.8164 0.4976 0.5809 (multiplicity 1)
Na 0.8206 0.1750 0.2544 (multiplicity 1)
Na 0.8299 0.8683 0.4155 (multiplicity 1)
Na 0.8314 0.5078 0.0797 (multiplicity 1)
Na 0.9289 0.3426 0.6684 (multiplicity 1)
Na 0.9848 0.3695 0.0016 (multiplicity 1)
Mg 0.3105 0.9943 0.7341 (multiplicity 1)
Mg 0.3124 0.0062 0.4402 (multiplicity 1)
Mg 0.3151 0.6832 0.1021 (multiplicity 1)
Mg 0.3176 0.6827 0.6032 (multiplicity 1)
Mg 0.3201 0.3360 0.2730 (multiplicity 1)
Mg 0.3201 0.3466 0.7750 (multiplicity 1)
Mg 0.3291 0.0060 0.9400 (multiplicity 1)
Mg 0.7898 0.4940 0.7408 (multiplicity 1)
Mg 0.8154 0.5035 0.4391 (multiplicity 1)
Mg 0.8161 0.1797 0.1065 (multiplicity 1)
Mg 0.8158 0.8408 0.7721 (multiplicity 1)
Mg 0.8172 0.1844 0.6014 (multiplicity 1)
Mg 0.8203 0.5040 0.9383 (multiplicity 1)
Mg 0.8235 0.8475 0.2726 (multiplicity 1)
Mg 0.8294 0.4909 0.2357 (multiplicity 1)
Si 0.0301 0.3430 0.1691 (multiplicity 1)
Si 0.1030 0.8431 0.6691 (multiplicity 1)
Si 0.1577 0.8238 0.0062 (multiplicity 1)
Si 0.1684 0.5367 0.0088 (multiplicity 1)
Si 0.1698 0.8577 0.3449 (multiplicity 1)
Si 0.1783 0.1482 0.3368 (multiplicity 1)
Si 0.4609 0.5364 0.5053 (multiplicity 1)
Si 0.4690 0.8570 0.8392 (multiplicity 1)
Si 0.4799 0.8322 0.5104 (multiplicity 1)
Si 0.5119 0.5177 0.8395 (multiplicity 1)
Si 0.5293 0.8487 0.1742 (multiplicity 1)
Si 0.6036 0.3428 0.6691 (multiplicity 1)
Si 0.6587 0.3276 0.0130 (multiplicity 1)
Si 0.6719 0.0376 0.0065 (multiplicity 1)
Si 0.6755 0.3542 0.3409 (multiplicity 1)
Si 0.9576 0.0384 0.5064 (multiplicity 1)
Si 0.9621 0.3537 0.8408 (multiplicity 1)
Si 0.9827 0.3302 0.5087 (multiplicity 1)
Ge 0.3070 0.6794 0.9057 (multiplicity 1)
Ge 0.3136 0.3569 0.0633 (multiplicity 1)
Ge 0.3251 0.3623 0.5601 (multiplicity 1)
Ge 0.3260 0.9940 0.2451 (multiplicity 1)
Ge 0.3373 0.6921 0.4144 (multiplicity 1)
Ge 0.7936 0.1910 0.9152 (multiplicity 1)
Ge 0.8075 0.8585 0.0630 (multiplicity 1)
Ge 0.8167 0.8673 0.5633 (multiplicity 1)
Ge 0.8743 0.1871 0.4036 (multiplicity 1)
S 0.0203 0.0133 0.8352 (multiplicity 1)
S 0.0279 0.6801 0.5027 (multiplicity 1)
S 0.1122 0.1810 0.0038 (multiplicity 1)
S 0.1140 0.5167 0.3350 (multiplicity 1)
S 0.1679 0.4899 0.6695 (multiplicity 1)
S 0.1756 0.1956 0.6730 (multiplicity 1)
S 0.4618 0.1947 0.1706 (multiplicity 1)
S 0.4668 0.1535 0.8362 (multiplicity 1)
S 0.4686 0.4923 0.1724 (multiplicity 1)
S 0.5231 0.1794 0.5060 (multiplicity 1)
S 0.6081 0.0102 0.3368 (multiplicity 1)
S 0.6155 0.6829 0.0065 (multiplicity 1)
S 0.6674 0.9909 0.6718 (multiplicity 1)
S 0.6706 0.6564 0.3369 (multiplicity 1)
S 0.6764 0.6968 0.6695 (multiplicity 1)
S 0.9580 0.6988 0.1721 (multiplicity 1)
S 0.9656 0.6550 0.8365 (multiplicity 1)
S 0.9679 0.9899 0.1684 (multiplicity 1)
O 0.0042 0.5022 0.6725 (multiplicity 1)
O 0.0050 0.1943 0.9501 (multiplicity 1)
O 0.0048 0.8345 0.7302 (multiplicity 1)
O 0.0111 0.1831 0.6716 (multiplicity 1)
O 0.0146 0.5133 0.3877 (multiplicity 1)
O 0.0257 0.5259 0.2774 (multiplicity 1)
O 0.0307 0.1688 0.0610 (multiplicity 1)
O 0.1121 0.6682 0.5588 (multiplicity 1)
O 0.1131 0.0105 0.8906 (multiplicity 1)
O 0.1151 0.0200 0.7798 (multiplicity 1)
O 0.1226 0.6870 0.1684 (multiplicity 1)
O 0.1335 0.3400 0.2282 (multiplicity 1)
O 0.1333 0.6633 0.8390 (multiplicity 1)
O 0.1327 0.6935 0.4475 (multiplicity 1)
O 0.1354 0.0248 0.5012 (multiplicity 1)
O 0.1351 0.9927 0.1690 (multiplicity 1)
O 0.1389 0.3353 0.8319 (multiplicity 1)
O 0.1446 0.3556 0.1053 (multiplicity 1)
O 0.1701 0.3289 0.5148 (multiplicity 1)
O 0.1891 0.7612 0.9451 (multiplicity 1)
O 0.1936 0.4356 0.6130 (multiplicity 1)
O 0.2027 0.2603 0.0026 (multiplicity 1)
O 0.2044 0.9088 0.4044 (multiplicity 1)
O 0.2047 0.1048 0.9924 (multiplicity 1)
O 0.2046 0.7559 0.6648 (multiplicity 1)
O 0.2057 0.9293 0.6648 (multiplicity 1)
O 0.2071 0.2469 0.7276 (multiplicity 1)
O 0.2105 0.4386 0.3345 (multiplicity 1)
O 0.2114 0.5937 0.3365 (multiplicity 1)
O 0.2158 0.0829 0.2743 (multiplicity 1)
O 0.2168 0.9209 0.9940 (multiplicity 1)
O 0.2182 0.5813 0.0706 (multiplicity 1)
O 0.2252 0.4468 0.7243 (multiplicity 1)
O 0.2335 0.2366 0.6166 (multiplicity 1)
O 0.2344 0.2458 0.3287 (multiplicity 1)
O 0.2400 0.5745 0.6644 (multiplicity 1)
O 0.2417 0.7877 0.0654 (multiplicity 1)
O 0.2494 0.1092 0.6773 (multiplicity 1)
O 0.2530 0.5838 0.9489 (multiplicity 1)
O 0.2551 0.4370 0.0059 (multiplicity 1)
O 0.2559 0.1094 0.3959 (multiplicity 1)
O 0.2619 0.8961 0.2821 (multiplicity 1)
O 0.2647 0.7582 0.3502 (multiplicity 1)
O 0.3801 0.7629 0.8511 (multiplicity 1)
O 0.3875 0.1094 0.1720 (multiplicity 1)
O 0.3874 0.4379 0.5017 (multiplicity 1)
O 0.3871 0.5876 0.4419 (multiplicity 1)
O 0.3898 0.8912 0.7761 (multiplicity 1)
O 0.3955 0.2412 0.1173 (multiplicity 1)
O 0.3983 0.6040 0.8485 (multiplicity 1)
O 0.4000 0.5792 0.1694 (multiplicity 1)
O 0.4005 0.1097 0.8889 (multiplicity 1)
O 0.4007 0.7863 0.5669 (multiplicity 1)
O 0.4061 0.2418 0.8344 (multiplicity 1)
O 0.4078 0.4322 0.8355 (multiplicity 1)
O 0.4091 0.4475 0.2263 (multiplicity 1)
O 0.4141 0.9376 0.1791 (multiplicity 1)
O 0.4148 0.9256 0.4991 (multiplicity 1)
O 0.4214 0.5873 0.5656 (multiplicity 1)
O 0.4230 0.1059 0.5031 (multiplicity 1)
O 0.4225 0.7649 0.1674 (multiplicity 1)
O 0.4266 0.2610 0.5057 (multiplicity 1)
O 0.4328 0.2419 0.2276 (multiplicity 1)
O 0.4382 0.1059 0.7792 (multiplicity 1)
O 0.4409 0.4421 0.1149 (multiplicity 1)
O 0.4489 0.9214 0.8956 (multiplicity 1)
O 0.4647 0.7653 0.4482 (multiplicity 1)
O 0.4712 0.3313 0.0168 (multiplicity 1)
O 0.4884 0.3575 0.6057 (multiplicity 1)
O 0.4964 0.3422 0.3323 (multiplicity 1)
O 0.4973 0.0216 0.0004 (multiplicity 1)
O 0.5022 0.6616 0.3391 (multiplicity 1)
O 0.5033 0.3303 0.7290 (multiplicity 1)
O 0.5040 0.0027 0.6743 (multiplicity 1)
O 0.5123 0.6841 0.6681 (multiplicity 1)
O 0.5126 0.0205 0.2785 (multiplicity 1)
O 0.5138 0.9969 0.3890 (multiplicity 1)
O 0.5163 0.6961 0.9519 (multiplicity 1)
O 0.5279 0.6713 0.0630 (multiplicity 1)
O 0.6034 0.5393 0.7764 (multiplicity 1)
O 0.6079 0.1736 0.5634 (multiplicity 1)
O 0.6187 0.1895 0.4518 (multiplicity 1)
O 0.6255 0.1844 0.1667 (multiplicity 1)
O 0.6249 0.5088 0.8960 (multiplicity 1)
O 0.6286 0.8346 0.2338 (multiplicity 1)
O 0.6327 0.5025 0.1757 (multiplicity 1)
O 0.6345 0.1586 0.8413 (multiplicity 1)
O 0.6361 0.8613 0.1093 (multiplicity 1)
O 0.6397 0.5263 0.4982 (multiplicity 1)
O 0.6485 0.8388 0.8328 (multiplicity 1)
O 0.6688 0.8295 0.5147 (multiplicity 1)
O 0.6778 0.2690 0.9486 (multiplicity 1)
O 0.6893 0.9357 0.6150 (multiplicity 1)
O 0.6944 0.0895 0.3365 (multiplicity 1)
O 0.6963 0.4174 0.3976 (multiplicity 1)
O 0.7015 0.7657 0.0084 (multiplicity 1)
O 0.7047 0.4296 0.6673 (multiplicity 1)
O 0.7064 0.7473 0.7247 (multiplicity 1)
O 0.7063 0.9336 0.3307 (multiplicity 1)
O 0.7075 0.2567 0.6639 (multiplicity 1)
O 0.7076 0.6077 0.2812 (multiplicity 1)
O 0.7150 0.6100 0.9989 (multiplicity 1)
O 0.7199 0.4235 0.0030 (multiplicity 1)
O 0.7260 0.9464 0.7260 (multiplicity 1)
O 0.7295 0.7450 0.3351 (multiplicity 1)
O 0.7307 0.6146 0.3920 (multiplicity 1)
O 0.7314 0.7417 0.6137 (multiplicity 1)
O 0.7372 0.0852 0.0629 (multiplicity 1)
O 0.7393 0.0745 0.6663 (multiplicity 1)
O 0.7435 0.2843 0.0687 (multiplicity 1)
O 0.7524 0.0842 0.9414 (multiplicity 1)
O 0.7527 0.9369 0.0034 (multiplicity 1)
O 0.7539 0.6123 0.6715 (multiplicity 1)
O 0.7574 0.2546 0.3546 (multiplicity 1)
O 0.7619 0.3861 0.2789 (multiplicity 1)
O 0.8726 0.2540 0.8529 (multiplicity 1)
O 0.8733 0.3865 0.7796 (multiplicity 1)
O 0.8812 0.0904 0.4464 (multiplicity 1)
O 0.8821 0.9392 0.5045 (multiplicity 1)
O 0.8863 0.6133 0.1749 (multiplicity 1)
O 0.8947 0.7448 0.1184 (multiplicity 1)
O 0.9026 0.7437 0.8349 (multiplicity 1)
O 0.9047 0.2869 0.5665 (multiplicity 1)
O 0.9074 0.6106 0.8895 (multiplicity 1)
O 0.9095 0.0770 0.1664 (multiplicity 1)
O 0.9117 0.9438 0.2224 (multiplicity 1)
O 0.9136 0.4233 0.4967 (multiplicity 1)
O 0.9159 0.0842 0.5687 (multiplicity 1)
O 0.9213 0.0897 0.8345 (multiplicity 1)
O 0.9266 0.4301 0.1648 (multiplicity 1)
O 0.9270 0.9343 0.8351 (multiplicity 1)
O 0.9287 0.6077 0.4926 (multiplicity 1)
O 0.9303 0.7472 0.2289 (multiplicity 1)
O 0.9317 0.2556 0.1676 (multiplicity 1)
O 0.9349 0.6087 0.7790 (multiplicity 1)
O 0.9365 0.9394 0.1104 (multiplicity 1)
O 0.9375 0.7605 0.5020 (multiplicity 1)
O 0.9412 0.4138 0.8990 (multiplicity 1)
O 0.9691 0.8305 0.0146 (multiplicity 1)
O 0.9757 0.2653 0.4464 (multiplicity 1)
O 0.9838 0.8567 0.6067 (multiplicity 1)
O 0.9918 0.1572 0.3389 (multiplicity 1)
O 0.9948 0.5198 0.0003 (multiplicity 1)
O 0.9971 0.8382 0.3321 (multiplicity 1)


Entry 3:
The following is a PBE calculation of a relaxed structure of In3GaTe4, from Materials Project.

Properties
ΔE_f (eV per atom): -0.4931
V (A^3/atom): 32.556
Density (g cm⁻³): 5.9

Cell lengths 8.6139, 8.6139, 7.0201 Å; angles 90.00, 90.00, 90.00 degrees
Space group I-42m (No. 121)
Symmetry-distinct sites (fractional):
In 0.0000 0.0000 0.0000 (multiplicity 2)
In 0.0000 0.5000 0.0000 (multiplicity 4)
Ga 0.0000 0.0000 0.5000 (multiplicity 2)
Te 0.1758 0.1758 0.7329 (multiplicity 8)


Entry 4:
The following is a PBE calculation of a relaxed structure of BaH4O3, from Materials Project.

Properties
ΔE to the lowest computed polymorph (meV per atom): 20
ΔE_f (eV per atom): -1.7570
Largest piezoelectric modulus (C/m2): 0.36
V (A^3/atom): 11.159
Density (g cm⁻³): 3.5

Cell lengths 3.9890, 7.0069, 6.3882 Å; angles 90.00, 90.80, 90.00 degrees
Space group P2_1 (No. 4)
Symmetry-distinct sites (fractional):
Ba 0.0042 0.0000 0.3442 (multiplicity 2)
H 0.1956 0.9569 0.8727 (multiplicity 2)
H 0.2065 0.4580 0.1274 (multiplicity 2)
H 0.4801 0.3111 0.3958 (multiplicity 2)
H 0.4967 0.1668 0.9908 (multiplicity 2)
O 0.0084 0.4073 0.2094 (multiplicity 2)
O 0.4947 0.2388 0.5265 (multiplicity 2)
O 0.4983 0.0316 0.0313 (multiplicity 2)


Entry 5:
The following is a PBE calculation of a relaxed structure of EuSb2S4, from Materials Project.

Properties
ΔE_f (eV per atom): -1.0413
V (A^3/atom): 23.508
Density (g cm⁻³): 5.3

Cell lengths 11.4766, 4.0021, 14.3309 Å; angles 90.00, 90.00, 90.00 degrees
Space group Pnma (No. 62)
Symmetry-distinct sites (fractional):
Eu 0.2368 0.2500 0.1518 (multiplicity 4)
Sb 0.0682 0.7500 0.3908 (multiplicity 4)
Sb 0.1091 0.7500 0.9056 (multiplicity 4)
S 0.0080 0.7500 0.7136 (multiplicity 4)
S 0.0564 0.7500 0.0871 (multiplicity 4)
S 0.1754 0.2500 0.5110 (multiplicity 4)
S 0.2390 0.2500 0.8021 (multiplicity 4)


Entry 6:
The following is a PBE calculation of a relaxed structure of PrH3CSO7, from Materials Project.

Properties
ΔE_f (eV per atom): -2.0230
V (A^3/atom): 11.462
Density (g cm⁻³): 3.3

Cell lengths 7.0445, 7.0445, 12.0110 Å; angles 90.00, 90.00, 90.00 degrees
Space group P4_3 (No. 78)
Symmetry-distinct sites (fractional):
Pr 0.1148 0.6306 0.0000 (multiplicity 4)
H 0.0201 0.1395 0.0365 (multiplicity 4)
H 0.1746 0.3957 0.2166 (multiplicity 4)
H 0.3826 0.4591 0.1824 (multiplicity 4)
C 0.1088 0.1354 0.9611 (multiplicity 4)
S 0.2351 0.6133 0.6937 (multiplicity 4)
O 0.0255 0.1602 0.6715 (multiplicity 4)
O 0.1110 0.6332 0.7930 (multiplicity 4)
O 0.1178 0.5598 0.5967 (multiplicity 4)
O 0.1546 0.2905 0.9142 (multiplicity 4)
O 0.2051 0.3312 0.4180 (multiplicity 4)
O 0.2550 0.4290 0.1529 (multiplicity 4)
O 0.3824 0.4623 0.7143 (multiplicity 4)


Entry 7:
The following is a PBE calculation of a relaxed structure of CeZn2Ni, from Materials Project.

Properties
ΔE_f (eV per atom): -0.1031
V (A^3/atom): 18.365
Density (g cm⁻³): 7.5

Cell lengths 3.8644, 3.8644, 4.9193 Å; angles 90.00, 90.00, 90.00 degrees
Space group P4/mmm (No. 123)
Symmetry-distinct sites (fractional):
Ce 0.0000 0.0000 0.0000 (multiplicity 1)
Zn 0.0000 0.5000 0.5000 (multiplicity 2)
Ni 0.5000 0.5000 0.0000 (multiplicity 1)